PBE La4B2CI5, optimized geometry; formation energy from the elements = -1.317 eV/atom
1.0
0.553 -4.965 11.030
4.026 -2.415 11.162
-6.545 8.086 16.120
La B C I
8 4 2 10
direct
0.512 0.512 0.123 La
0.129 0.129 0.897 La
0.845 0.845 0.603 La
0.871 0.871 0.103 La
0.488 0.488 0.877 La
0.155 0.155 0.397 La
0.495 0.495 0.591 La
0.505 0.505 0.409 La
0.004 0.004 0.047 B
0.315 0.685 0.000 B
0.685 0.315 0.000 B
0.996 0.996 0.953 B
0.036 0.036 0.476 C
0.964 0.964 0.524 C
0.018 0.018 0.260 I
0.661 0.661 0.744 I
0.338 0.338 0.483 I
0.982 0.982 0.740 I
0.662 0.662 0.517 I
0.677 0.677 0.253 I
0.681 0.681 0.976 I
0.323 0.323 0.747 I
0.339 0.339 0.256 I
0.319 0.319 0.024 I